First-principles (PBE with a Hubbard U) data for a relaxed structure of KAlCr2O10, as listed in the Materials Project database.

Values from the calculation:
The total magnetization comes out at 4.00 μB/f.u.

a b c (Å): 11.0353 5.4714 7.8958
angles (deg): 90.00 108.82 90.00
Space group C2/m (No. 12)
One atom of each set of equivalent atoms:
K  0.0000  0.0000  0.0000 [2 per cell]
Al  0.0000  0.0000  0.5000 [2 per cell]
Cr  0.1167  0.5000  0.7727 [4 per cell]
O  0.0313  0.2400  0.6806 [8 per cell]
O  0.1374  0.5000  0.9849 [4 per cell]
O  0.1785  0.0000  0.5836 [4 per cell]
O  0.2465  0.0000  0.2588 [4 per cell]



First-principles (PBE with a Hubbard U) data for a relaxed structure of K6MgFe2O6, as listed in the Materials Project database.

Values from the calculation:
The total magnetization comes out at 8.00 μB/f.u.

a b c (Å): 6.2736 7.0278 7.1295
angles (deg): 115.96 91.65 93.40
Space group P1 (No. 1)
One atom of each set of equivalent atoms:
K  0.0000  0.0000  0.0000 [1 per cell]
K  0.0113  0.5472  0.4947 [1 per cell]
K  0.3714  0.3159  0.7534 [1 per cell]
K  0.4974  0.0381  0.0327 [1 per cell]
K  0.5134  0.5878  0.4822 [1 per cell]
K  0.8027  0.1444  0.6029 [1 per cell]
Mg  0.6392  0.6289  0.0790 [1 per cell]
Fe  0.0164  0.5496  0.0504 [1 per cell]
Fe  0.2089  0.9291  0.3870 [1 per cell]
O  0.2639  0.1967  0.3672 [1 per cell]
O  0.2706  0.9178  0.6531 [1 per cell]
O  0.3235  0.6483  0.1141 [1 per cell]
O  0.7670  0.5998  0.8150 [1 per cell]
O  0.7801  0.3517  0.0533 [1 per cell]
O  0.8762  0.8118  0.2799 [1 per cell]



First-principles (PBE with a Hubbard U) data for a relaxed structure of Dy5Mo2O12, as listed in the Materials Project database.

a b c (Å): 12.3769 5.7683 7.5888
angles (deg): 90.00 108.04 90.00
Space group C2/m (No. 12)
One atom of each set of equivalent atoms:
Dy  0.0000  0.0000  0.0000 [2 per cell]
Dy  0.1858  0.5000  0.3215 [4 per cell]
Dy  0.1950  0.5000  0.8612 [4 per cell]
Mo  0.0000  0.2189  0.5000 [4 per cell]
O  0.9997  0.5000  0.3170 [4 per cell]
O  0.0005  0.0000  0.2937 [4 per cell]
O  0.1552  0.2520  0.0753 [8 per cell]
O  0.1648  0.2556  0.5841 [8 per cell]



First-principles (PBE with a Hubbard U) data for a relaxed structure of MgMn6O8F4, as listed in the Materials Project database.

Values from the calculation:
The total magnetization comes out at 24.00 μB/f.u. The excess energy over the best structure of this formula in the dataset is 99 meV per atom.

a b c (Å): 5.1252 5.1741 8.8862
angles (deg): 89.34 88.85 81.70
Space group P1 (No. 1)
One atom of each set of equivalent atoms:
Mg  0.0000  0.0000  0.0000 [1 per cell]
Mn  0.0592  0.5471  0.6533 [1 per cell]
Mn  0.0744  0.5073  0.0093 [1 per cell]
Mn  0.4984  0.9583  0.1710 [1 per cell]
Mn  0.5221  0.9351  0.4988 [1 per cell]
Mn  0.5271  0.9126  0.8175 [1 per cell]
Mn  0.9075  0.4118  0.3220 [1 per cell]
O  0.1399  0.2275  0.1570 [1 per cell]
O  0.3551  0.7588  0.6595 [1 per cell]
O  0.3552  0.7798  0.0014 [1 per cell]
O  0.6452  0.1372  0.3314 [1 per cell]
O  0.6555  0.0963  0.6560 [1 per cell]
O  0.8044  0.6479  0.4874 [1 per cell]
O  0.8537  0.7068  0.1584 [1 per cell]
O  0.8993  0.7196  0.8542 [1 per cell]
F  0.1567  0.2407  0.8455 [1 per cell]
F  0.1757  0.2443  0.4954 [1 per cell]
F  0.3427  0.7570  0.3451 [1 per cell]
F  0.6459  0.1806  0.9822 [1 per cell]



First-principles (PBE with a Hubbard U) data for a relaxed structure of KVF3, as listed in the Materials Project database.

a b c (Å): 4.2254 4.2254 4.2254
angles (deg): 90.00 90.00 90.00
Space group Pm-3m (No. 221)
One atom of each set of equivalent atoms:
K  0.0000  0.0000  0.0000 [1 per cell]
V  0.5000  0.5000  0.5000 [1 per cell]
F  0.0000  0.5000  0.5000 [3 per cell]



First-principles (PBE with a Hubbard U) data for a relaxed structure of ZnCrAs2O7, as listed in the Materials Project database.

Values from the calculation:
The total magnetization comes out at 4.00 μB/f.u.

a b c (Å): 7.3598 8.6562 9.7937
angles (deg): 90.00 112.88 90.00
Space group P2_1/c (No. 14)
One atom of each set of equivalent atoms:
Zn  0.2301  0.0703  0.1037 [4 per cell]
Cr  0.2995  0.0562  0.6671 [4 per cell]
As  0.0646  0.7256  0.7506 [4 per cell]
As  0.4692  0.7280  0.0371 [4 per cell]
O  0.0338  0.6007  0.6070 [4 per cell]
O  0.1362  0.2359  0.7012 [4 per cell]
O  0.1429  0.5968  0.2343 [4 per cell]
O  0.2461  0.6389  0.9124 [4 per cell]
O  0.3646  0.2345  0.5470 [4 per cell]
O  0.4365  0.5968  0.6002 [4 per cell]
O  0.4775  0.0872  0.3297 [4 per cell]



First-principles (PBE with a Hubbard U) data for a relaxed structure of Li2VF5, as listed in the Materials Project database.

Values from the calculation:
The total magnetization comes out at 2.00 μB/f.u. The excess energy over the best structure of this formula in the dataset is 43 meV per atom.

a b c (Å): 7.7245 10.0911 5.3516
angles (deg): 90.00 90.00 90.00
Space group Pnma (No. 62)
One atom of each set of equivalent atoms:
Li  0.1393  0.0025  0.1842 [8 per cell]
V  0.1180  0.7500  0.7090 [4 per cell]
F  0.0540  0.6144  0.9434 [8 per cell]
F  0.1405  0.2500  0.3775 [4 per cell]
F  0.1804  0.6002  0.4877 [8 per cell]



First-principles (PBE with a Hubbard U) data for a relaxed structure of CoBr2O12, as listed in the Materials Project database.

Values from the calculation:
The total magnetization comes out at 11.00 μB/f.u.

a b c (Å): 9.6721 9.6721 9.6721
angles (deg): 90.00 90.00 90.00
Space group Pa-3 (No. 205)
One atom of each set of equivalent atoms:
Co  0.0000  0.0000  0.0000 [4 per cell]
Br  0.2382  0.7382  0.7618 [8 per cell]
O  0.0320  0.6763  0.4524 [24 per cell]
O  0.1266  0.1543  0.6878 [24 per cell]



| no. | energy of formation from the pure elements (kJ/mol of formula units) | raw total energy (eV/atom) |
| --- | --- | --- |
| 1 | -2097.7 | -6.04 |
| 2 | -2188.2 | -4.60 |
| 3 | -6135.7 | -8.05 |
| 4 | -4058.4 | -6.76 |
| 5 | -1467.9 | -5.61 |
| 6 | -1884.2 | -6.14 |
| 7 | -2441.8 | -5.47 |
| 8 | 279.8 | -3.80 |